NiS2 | GGA-PBE | relaxed

Computed properties:
magnetization = 0.004 μB/cell
MP2020-corrected energy = -4.701 eV/atom

a = 5.1696 Å, b = 5.1696 Å, c = 5.1696 Å
α = 144.69°, β = 144.69°, γ = 50.80°
Element x y z (fractional)
Ni (0.5000, 0.5000, 0.0000)
S (0.1140, 0.1140, 0.0000)
S (0.8860, 0.8860, 0.0000)

***

Cu3As | GGA-PBE | relaxed

Computed properties:
total energy = -4.1876 eV/atom

a = 4.3415 Å, b = 4.6228 Å, c = 5.2967 Å
α = 90.00°, β = 90.00°, γ = 90.00°
Element x y z (fractional)
Cu (0.0000, 0.9963, 0.5000)
Cu (0.5000, 0.3367, 0.0000)
Cu (0.0000, 0.5049, 0.2514)
Cu (0.0000, 0.5049, 0.7486)
Cu (0.5000, 0.8281, 0.2486)
Cu (0.5000, 0.8281, 0.7514)
As (0.0000, 0.9962, 0.0000)
As (0.5000, 0.3368, 0.5000)

***

ZnCuSe2O6 | GGA-PBE | relaxed

Computed properties:
magnetization = 2.003 μB/cell
MP2020-corrected energy = -5.442 eV/atom

a = 5.9800 Å, b = 5.2898 Å, c = 9.1697 Å
α = 56.10°, β = 90.00°, γ = 90.00°
Element x y z (fractional)
Zn (0.5000, 0.5000, 0.5000)
Zn (0.0000, 0.5000, 0.0000)
Cu (0.5000, 0.0000, 0.0000)
Cu (0.0000, 0.0000, 0.5000)
Se (0.5355, 0.7433, 0.7520)
Se (0.0355, 0.2567, 0.7480)
Se (0.4645, 0.2567, 0.2480)
Se (0.9645, 0.7433, 0.2520)
O (0.5762, 0.0704, 0.7549)
O (0.0762, 0.9296, 0.7451)
O (0.4238, 0.9296, 0.2451)
O (0.9238, 0.0704, 0.2549)
O (0.6976, 0.4615, 0.9242)
O (0.1976, 0.5385, 0.5758)
O (0.3022, 0.1897, 0.4259)
O (0.8022, 0.8103, 0.0741)
O (0.3024, 0.5385, 0.0758)
O (0.8024, 0.4615, 0.4242)
O (0.6978, 0.8103, 0.5741)
O (0.1978, 0.1897, 0.9259)

***

CdSb5OF28 | GGA-PBE | relaxed

Computed properties:
magnetization = 4.851 μB/cell
MP2020-corrected energy = -4.738 eV/atom

a = 12.7837 Å, b = 10.2316 Å, c = 18.6035 Å
α = 81.76°, β = 90.00°, γ = 90.00°
Element x y z (fractional)
Cd (0.6430, 0.6951, 0.2604)
Cd (0.1430, 0.8049, 0.7396)
Cd (0.3570, 0.3049, 0.7396)
Cd (0.8570, 0.1951, 0.2604)
Sb (0.7192, 0.4738, 0.0963)
Sb (0.2192, 0.0262, 0.9037)
Sb (0.2808, 0.5262, 0.9037)
Sb (0.7808, 0.9738, 0.0963)
Sb (0.7598, 0.4035, 0.4304)
Sb (0.2598, 0.0965, 0.5696)
Sb (0.2402, 0.5965, 0.5696)
Sb (0.7402, 0.9035, 0.4304)
Sb (0.3688, 0.7417, 0.1390)
Sb (0.8688, 0.7583, 0.8610)
Sb (0.6312, 0.2583, 0.8610)
Sb (0.1312, 0.2417, 0.1390)
Sb (0.3979, 0.5593, 0.3385)
Sb (0.8979, 0.9407, 0.6615)
Sb (0.6021, 0.4407, 0.6615)
Sb (0.1021, 0.0593, 0.3385)
Sb (0.9634, 0.5899, 0.2920)
Sb (0.4634, 0.9101, 0.7080)
Sb (0.0366, 0.4101, 0.7080)
Sb (0.5366, 0.0899, 0.2920)
O (0.9516, 0.3259, 0.9382)
O (0.4516, 0.1741, 0.0618)
O (0.0484, 0.6741, 0.0618)
O (0.5484, 0.8259, 0.9382)
F (0.3591, 0.9138, 0.1651)
F (0.8591, 0.5862, 0.8349)
F (0.6409, 0.0862, 0.8349)
F (0.1409, 0.4138, 0.1651)
F (0.8309, 0.6743, 0.2648)
F (0.3309, 0.8257, 0.7352)
F (0.1691, 0.3257, 0.7352)
F (0.6691, 0.1743, 0.2648)
F (0.6422, 0.3035, 0.4636)
F (0.1422, 0.1965, 0.5364)
F (0.3578, 0.6965, 0.5364)
F (0.8578, 0.8035, 0.4636)
F (0.3809, 0.5639, 0.1250)
F (0.8809, 0.9361, 0.8750)
F (0.6191, 0.4361, 0.8750)
F (0.1191, 0.0639, 0.1250)
F (0.6739, 0.5346, 0.1860)
F (0.1739, 0.9654, 0.8140)
F (0.3261, 0.4654, 0.8140)
F (0.8261, 0.0346, 0.1860)
F (0.6860, 0.5048, 0.3498)
F (0.1860, 0.9952, 0.6502)
F (0.3140, 0.4952, 0.6502)
F (0.8140, 0.0048, 0.3498)
F (0.5940, 0.3730, 0.0950)
F (0.0940, 0.1270, 0.9050)
F (0.4060, 0.6270, 0.9050)
F (0.9060, 0.8730, 0.0950)
F (0.8879, 0.5111, 0.3858)
F (0.3879, 0.9889, 0.6142)
F (0.1121, 0.4889, 0.6142)
F (0.6121, 0.0111, 0.3858)
F (0.8454, 0.5714, 0.1024)
F (0.3454, 0.9286, 0.8976)
F (0.1546, 0.4286, 0.8976)
F (0.6546, 0.0714, 0.1024)
F (0.7708, 0.4071, 0.0118)
F (0.2708, 0.0929, 0.9882)
F (0.2292, 0.5929, 0.9882)
F (0.7292, 0.9071, 0.0118)
F (0.0253, 0.6644, 0.2022)
F (0.5253, 0.8356, 0.7978)
F (0.9747, 0.3356, 0.7978)
F (0.4747, 0.1644, 0.2022)
F (0.7819, 0.3242, 0.1577)
F (0.2819, 0.1758, 0.8423)
F (0.2181, 0.6758, 0.8423)
F (0.7181, 0.8242, 0.1577)
F (0.9965, 0.7318, 0.3418)
F (0.4965, 0.7682, 0.6582)
F (0.0035, 0.2682, 0.6582)
F (0.5035, 0.2318, 0.3418)
F (0.0807, 0.4922, 0.3284)
F (0.5807, 0.0078, 0.6716)
F (0.9193, 0.5078, 0.6716)
F (0.4193, 0.9922, 0.3284)
F (0.9097, 0.4383, 0.2536)
F (0.4097, 0.0617, 0.7464)
F (0.0903, 0.5617, 0.7464)
F (0.5903, 0.9383, 0.2536)
F (0.5132, 0.7396, 0.1710)
F (0.0132, 0.7604, 0.8290)
F (0.4868, 0.2604, 0.8290)
F (0.9868, 0.2396, 0.1710)
F (0.4978, 0.5045, 0.2717)
F (0.9978, 0.9955, 0.7283)
F (0.5022, 0.4955, 0.7283)
F (0.0022, 0.0045, 0.2717)
F (0.4589, 0.4690, 0.4230)
F (0.9589, 0.0310, 0.5770)
F (0.5411, 0.5310, 0.5770)
F (0.0411, 0.9690, 0.4230)
F (0.2987, 0.6552, 0.3842)
F (0.7987, 0.8448, 0.6158)
F (0.7013, 0.3448, 0.6158)
F (0.2013, 0.1552, 0.3842)
F (0.2218, 0.7431, 0.1209)
F (0.7218, 0.7569, 0.8791)
F (0.7782, 0.2569, 0.8791)
F (0.2782, 0.2431, 0.1209)
F (0.8590, 0.3178, 0.4954)
F (0.3590, 0.1822, 0.5046)
F (0.1410, 0.6822, 0.5046)
F (0.6410, 0.8178, 0.4954)
F (0.7943, 0.2840, 0.3618)
F (0.2943, 0.2160, 0.6382)
F (0.2057, 0.7160, 0.6382)
F (0.7057, 0.7840, 0.3618)
F (0.4962, 0.7070, 0.3349)
F (0.9962, 0.7930, 0.6651)
F (0.5038, 0.2930, 0.6651)
F (0.0038, 0.2070, 0.3349)
F (0.3347, 0.6734, 0.2447)
F (0.8347, 0.8266, 0.7553)
F (0.6653, 0.3266, 0.7553)
F (0.1653, 0.1734, 0.2447)
F (0.6524, 0.6218, 0.0412)
F (0.1524, 0.8782, 0.9588)
F (0.3476, 0.3782, 0.9588)
F (0.8476, 0.1218, 0.0412)
F (0.7407, 0.5448, 0.4839)
F (0.2407, 0.9552, 0.5161)
F (0.2593, 0.4552, 0.5161)
F (0.7593, 0.0448, 0.4839)
F (0.3041, 0.4268, 0.3195)
F (0.8041, 0.0732, 0.6805)
F (0.6959, 0.5732, 0.6805)
F (0.1959, 0.9268, 0.3195)
F (0.4101, 0.8100, 0.0419)
F (0.9101, 0.6900, 0.9581)
F (0.5899, 0.1900, 0.9581)
F (0.0899, 0.3100, 0.0419)

***

ZrTi4Pb5O15 | GGA-PBE | relaxed

Computed properties:
magnetization = 0.002 μB/cell
MP2020-corrected energy = -8.057 eV/atom

a = 14.2286 Å, b = 14.2286 Å, c = 4.4804 Å
α = 90.00°, β = 90.00°, γ = 157.41°
Element x y z (fractional)
Zr (0.5000, 0.5000, 0.5358)
Ti (0.1026, 0.8974, 0.5297)
Ti (0.8974, 0.1026, 0.5297)
Ti (0.2990, 0.7010, 0.5291)
Ti (0.7010, 0.2990, 0.5291)
Pb (0.6035, 0.3965, 0.9788)
Pb (0.0000, 0.0000, 0.9786)
Pb (0.3965, 0.6035, 0.9788)
Pb (0.7993, 0.2007, 0.9773)
Pb (0.2007, 0.7993, 0.9773)
O (0.4027, 0.0992, 0.6294)
O (0.5973, 0.9008, 0.6294)
O (0.0000, 0.5000, 0.6260)
O (0.8128, 0.7065, 0.6282)
O (0.1872, 0.2935, 0.6282)
O (0.5000, 0.0000, 0.6260)
O (0.7065, 0.8128, 0.6282)
O (0.0992, 0.4027, 0.6294)
O (0.9008, 0.5973, 0.6294)
O (0.2935, 0.1872, 0.6282)
O (0.7003, 0.2997, 0.1355)
O (0.8967, 0.1033, 0.1363)
O (0.2997, 0.7003, 0.1355)
O (0.1033, 0.8967, 0.1363)
O (0.5000, 0.5000, 0.0913)

***

Ba3Sb2 | GGA-PBE | relaxed

Computed properties:
magnetization = 0.000 μB/cell
MP2020-corrected energy = -3.480 eV/atom

a = 6.5075 Å, b = 6.5075 Å, c = 6.5075 Å
α = 90.00°, β = 90.00°, γ = 90.00°
Element x y z (fractional)
Ba (0.0000, 0.5000, 0.5000)
Ba (0.5000, 0.0000, 0.5000)
Ba (0.5000, 0.5000, 0.0000)
Sb (0.0000, 0.0000, 0.0000)
Sb (0.5000, 0.5000, 0.5000)